The following is a PBE calculation of an optimized crystal structure of Ta2Se8Br, from Materials Project.

## Properties
ΔE_f = -0.605 eV/atom
energy = -5.40 eV per atom

abc: 13.0002 14.5646 16.4341
angles: 90.00 126.27 90.00
Space group P2_1/c (No. 14)
One atom of each set of equivalent atoms:
Ta: 0.0098 0.1421 0.2741 (multiplicity 4)
Ta: 0.2197 0.1173 0.1959 (multiplicity 4)
Ta: 0.2523 0.6209 0.2459 (multiplicity 4)
Ta: 0.4893 0.1111 0.2292 (multiplicity 4)
Se: 0.0063 0.6326 0.0745 (multiplicity 4)
Se: 0.0102 0.1799 0.0214 (multiplicity 4)
Se: 0.0530 0.0034 0.1860 (multiplicity 4)
Se: 0.0690 0.2485 0.6746 (multiplicity 4)
Se: 0.0739 0.0050 0.6783 (multiplicity 4)
Se: 0.1826 0.7322 0.7969 (multiplicity 4)
Se: 0.2192 0.6368 0.3948 (multiplicity 4)
Se: 0.2285 0.0487 0.3536 (multiplicity 4)
Se: 0.2594 0.0335 0.0795 (multiplicity 4)
Se: 0.2879 0.5693 0.1039 (multiplicity 4)
Se: 0.3123 0.7260 0.1522 (multiplicity 4)
Se: 0.3456 0.2428 0.6786 (multiplicity 4)
Se: 0.3782 0.5343 0.7448 (multiplicity 4)
Se: 0.4238 0.1991 0.3420 (multiplicity 4)
Se: 0.4322 0.0001 0.8563 (multiplicity 4)
Se: 0.4913 0.6571 0.4136 (multiplicity 4)
Br: 0.1616 0.2184 0.8858 (multiplicity 4)
Br: 0.4713 0.1324 0.5447 (multiplicity 4)

The following is a PBE calculation of an optimized crystal structure of Na5Ni9As7, from Materials Project.

## Properties
ΔE_f = -0.284 eV/atom
energy = -4.63 eV per atom

abc: 9.6811 9.6811 3.9814
angles: 90.00 90.00 120.00
Space group P-6 (No. 174)
One atom of each set of equivalent atoms:
Na: 0.0000 0.0000 0.0000 (multiplicity 1)
Na: 0.2172 0.7730 0.0000 (multiplicity 3)
Na: 0.6667 0.3333 0.5000 (multiplicity 1)
Ni: 0.0340 0.4956 0.5000 (multiplicity 3)
Ni: 0.2913 0.2423 0.5000 (multiplicity 3)
Ni: 0.3850 0.1052 0.0000 (multiplicity 3)
As: 0.0250 0.2456 0.5000 (multiplicity 3)
As: 0.3333 0.6667 0.5000 (multiplicity 1)
As: 0.4636 0.3765 0.0000 (multiplicity 3)

The following is a PBE calculation of an optimized crystal structure of BaEuS2, from Materials Project.

## Properties
ΔE_f = -2.292 eV/atom
energy = -7.15 eV per atom

abc: 4.4220 4.4220 6.2552
angles: 90.00 90.00 90.00
Space group P4/mmm (No. 123)
One atom of each set of equivalent atoms:
Ba: 0.0000 0.0000 0.0000 (multiplicity 1)
Eu: 0.5000 0.5000 0.5000 (multiplicity 1)
S: 0.0000 0.0000 0.5000 (multiplicity 1)
S: 0.5000 0.5000 0.0000 (multiplicity 1)

The following is a PBE calculation of an optimized crystal structure of MgZnCo, from Materials Project.

## Properties
ΔE_f = -0.113 eV/atom
energy = -3.44 eV per atom

abc: 4.9874 5.0193 7.0193
angles: 90.00 90.00 90.00
Space group Imma (No. 74)
One atom of each set of equivalent atoms:
Mg: 0.0000 0.2500 0.1178 (multiplicity 4)
Zn: 0.0000 0.0000 0.5000 (multiplicity 4)
Co: 0.2500 0.2500 0.7500 (multiplicity 4)

The following is a PBE calculation of an optimized crystal structure of BiPbIO2, from Materials Project.

## Properties
ΔE_f = -1.377 eV/atom
energy = -4.91 eV per atom

abc: 4.0735 4.0735 13.8833
angles: 90.00 90.00 90.00
Space group I4mm (No. 107)
One atom of each set of equivalent atoms:
Bi: 0.0000 0.0000 0.0000 (multiplicity 2)
Pb: 0.0000 0.0000 0.3253 (multiplicity 2)
I: 0.0000 0.0000 0.6591 (multiplicity 2)
O: 0.0000 0.5000 0.4222 (multiplicity 4)

The following is a PBE calculation of an optimized crystal structure of CsInCuF6, from Materials Project.

## Properties
ΔE_f = -2.568 eV/atom
energy = -4.40 eV per atom

abc: 7.4408 7.8948 10.9864
angles: 90.00 90.00 90.00
Space group Imma (No. 74)
One atom of each set of equivalent atoms:
Cs: 0.0000 0.2500 0.1096 (multiplicity 4)
In: 0.0000 0.0000 0.5000 (multiplicity 4)
Cu: 0.2500 0.2500 0.7500 (multiplicity 4)
F: 0.0000 0.2500 0.4224 (multiplicity 4)
F: 0.0000 0.2500 0.8009 (multiplicity 4)
F: 0.2082 0.0594 0.6209 (multiplicity 16)

The following is a PBE calculation of an optimized crystal structure of TiCrCuS4, from Materials Project.

## Properties
ΔE_f = -1.122 eV/atom
energy = -6.29 eV per atom
distance to the lowest polymorph of the same formula = 64.8 meV per atom

abc: 5.7200 6.9560 12.0133
angles: 90.22 90.20 90.65
Space group P-1 (No. 2)
One atom of each set of equivalent atoms:
Ti: 0.0000 0.0000 0.0000 (multiplicity 1)
Ti: 0.0188 0.2386 0.7529 (multiplicity 2)
Ti: 0.5000 0.5000 0.5000 (multiplicity 1)
Cr: 0.0000 0.5000 0.0000 (multiplicity 1)
Cr: 0.4874 0.2594 0.2469 (multiplicity 2)
Cr: 0.5000 0.0000 0.5000 (multiplicity 1)
Cu: 0.1057 0.2575 0.4112 (multiplicity 2)
Cu: 0.3873 0.2448 0.9121 (multiplicity 2)
S: 0.2256 0.7498 0.0825 (multiplicity 2)
S: 0.2335 0.5056 0.8310 (multiplicity 2)
S: 0.2399 0.2546 0.0864 (multiplicity 2)
S: 0.2402 0.9818 0.8291 (multiplicity 2)
S: 0.2536 0.2442 0.5859 (multiplicity 2)
S: 0.2671 0.5153 0.3296 (multiplicity 2)
S: 0.2735 0.9985 0.3300 (multiplicity 2)
S: 0.2827 0.7506 0.5872 (multiplicity 2)

The following is a PBE calculation of an optimized crystal structure of CaMg14Cd, from Materials Project.

## Properties
ΔE_f = -0.007 eV/atom
energy = -1.59 eV per atom
distance to the lowest polymorph of the same formula = 6.7 meV per atom

abc: 6.4526 6.4526 10.4986
angles: 90.00 90.00 120.00
Space group P-6m2 (No. 187)
One atom of each set of equivalent atoms:
Ca: 0.0000 0.0000 0.0000 (multiplicity 1)
Mg: 0.0087 0.5043 0.0000 (multiplicity 3)
Mg: 0.1679 0.3359 0.2577 (multiplicity 6)
Mg: 0.5016 0.0032 0.5000 (multiplicity 3)
Mg: 0.6667 0.3333 0.2458 (multiplicity 2)
Cd: 0.0000 0.0000 0.5000 (multiplicity 1)

The following is a PBE calculation of an optimized crystal structure of GePbN2, from Materials Project.

## Properties
ΔE_f = 0.246 eV/atom
energy = -5.83 eV per atom
distance to the lowest polymorph of the same formula = 205.4 meV per atom

abc: 3.8316 3.8316 7.7182
angles: 90.00 90.00 90.00
Space group P4/nmm (No. 129, origin choice 2)
One atom of each set of equivalent atoms:
Ge: 0.2500 0.2500 0.0956 (multiplicity 2)
Pb: 0.2500 0.2500 0.6489 (multiplicity 2)
N: 0.2500 0.2500 0.3382 (multiplicity 2)
N: 0.2500 0.7500 0.0000 (multiplicity 2)

The following is a PBE calculation of an optimized crystal structure of AlV2Fe, from Materials Project.

## Properties
ΔE_f = -0.134 eV/atom
energy = -7.73 eV per atom

abc: 3.1307 4.1751 8.0840
angles: 90.00 90.00 90.00
Space group Cmm2 (No. 35)
One atom of each set of equivalent atoms:
Al: 0.0000 0.0000 0.0000 (multiplicity 2)
V: 0.0000 0.0000 0.5219 (multiplicity 2)
V: 0.0000 0.5000 0.2712 (multiplicity 2)
Fe: 0.0000 0.5000 0.7614 (multiplicity 2)

The following is a PBE calculation of an optimized crystal structure of GaFe3N, from Materials Project.

## Properties
ΔE_f = -0.225 eV/atom
energy = -7.51 eV per atom

abc: 3.7287 3.7287 3.7287
angles: 90.00 90.00 90.00
Space group Pm-3m (No. 221)
One atom of each set of equivalent atoms:
Ga: 0.0000 0.0000 0.0000 (multiplicity 1)
Fe: 0.0000 0.5000 0.5000 (multiplicity 3)
N: 0.5000 0.5000 0.5000 (multiplicity 1)

The following is a PBE calculation of an optimized crystal structure of ErAl20Cr2, from Materials Project.

## Properties
ΔE_f = -0.137 eV/atom
energy = -4.43 eV per atom

abc: 14.4639 14.4639 14.4639
angles: 90.00 90.00 90.00
Space group Fd-3m (No. 227, origin choice 2)
One atom of each set of equivalent atoms:
Er: 0.1250 0.1250 0.1250 (multiplicity 8)
Al: 0.0000 0.0000 0.0000 (multiplicity 16)
Al: 0.0129 0.3750 0.8750 (multiplicity 48)
Al: 0.0588 0.0588 0.3252 (multiplicity 96)
Cr: 0.0000 0.0000 0.5000 (multiplicity 16)

The following is a PBE calculation of an optimized crystal structure of ErMn4Al8, from Materials Project.

## Properties
ΔE_f = -0.342 eV/atom
energy = -5.82 eV per atom

abc: 8.7360 8.7360 5.1450
angles: 90.00 90.00 90.00
Space group I4/mmm (No. 139)
One atom of each set of equivalent atoms:
Er: 0.0000 0.0000 0.0000 (multiplicity 2)
Mn: 0.2500 0.2500 0.2500 (multiplicity 8)
Al: 0.0000 0.2241 0.5000 (multiplicity 8)
Al: 0.0000 0.3355 0.0000 (multiplicity 8)

The following is a PBE calculation of an optimized crystal structure of LiPt3O4, from Materials Project.

## Properties
ΔE_f = -1.086 eV/atom
energy = -5.73 eV per atom

abc: 5.7336 5.7336 5.7336
angles: 90.00 90.00 90.00
Space group Pm-3n (No. 223)
One atom of each set of equivalent atoms:
Li: 0.0000 0.0000 0.0000 (multiplicity 2)
Pt: 0.0000 0.2500 0.5000 (multiplicity 6)
O: 0.2500 0.2500 0.2500 (multiplicity 8)